Entry 1:
NiGeH12O6F6: optimized geometry, GGA+U.

Calculated values
The value obtained for the calculated formation energy is -1.713 eV/atom. The energy relative to the lowest polymorph listed for this composition is 0.000 eV per atom. As for the MP2020-corrected energy: -5.263 eV per atom. The space-group type is R-3, No. 148. The value obtained for the total energy is -4.900 eV/atom.

Lattice parameters (Å, degrees): 6.510 6.510 6.510 96.79 96.79 96.79
Fractional coordinates of all 26 atoms:
1 H 0.944 0.799 0.607
2 H 0.056 0.201 0.393
3 H 0.817 0.187 0.302
4 H 0.302 0.817 0.187
5 H 0.799 0.607 0.944
6 H 0.393 0.056 0.201
7 H 0.183 0.813 0.698
8 H 0.698 0.183 0.813
9 H 0.201 0.393 0.056
10 H 0.607 0.944 0.799
11 H 0.813 0.698 0.183
12 H 0.187 0.302 0.817
13 F 0.564 0.265 0.349
14 F 0.436 0.735 0.651
15 F 0.735 0.651 0.436
16 F 0.651 0.436 0.735
17 F 0.349 0.564 0.265
18 F 0.265 0.349 0.564
19 Ni 0.000 0.000 0.000
20 O 0.882 0.706 0.058
21 O 0.118 0.294 0.942
22 O 0.706 0.058 0.882
23 O 0.058 0.882 0.706
24 O 0.942 0.118 0.294
25 O 0.294 0.942 0.118
26 Ge 0.500 0.500 0.500

=====

Entry 2:
MgV8Ge4O16F8: optimized geometry, GGA+U.

Calculated values
The value obtained for the calculated formation energy is -2.564 eV/atom. As for the MP2020-corrected energy: -7.625 eV per atom. The space-group type is P1, No. 1. The value obtained for the total energy is -6.860 eV/atom.

Lattice parameters (Å, degrees): 5.106 9.201 9.655 90.29 90.05 91.13
Fractional coordinates of all 37 atoms:
1 F 0.931 0.064 0.254
2 F 0.064 0.555 0.747
3 F 0.612 0.440 0.756
4 F 0.592 0.058 0.751
5 F 0.082 0.944 0.749
6 F 0.398 0.570 0.248
7 F 0.912 0.438 0.258
8 F 0.418 0.944 0.255
9 Mg 0.887 0.451 0.901
10 O 0.303 0.076 0.991
11 O 0.452 0.239 0.261
12 O 0.700 0.247 0.532
13 O 0.202 0.095 0.499
14 O 0.800 0.907 0.505
15 O 0.214 0.408 0.489
16 O 0.034 0.253 0.761
17 O 0.711 0.912 0.016
18 O 0.718 0.597 0.011
19 O 0.803 0.248 0.018
20 O 0.296 0.752 0.465
21 O 0.954 0.754 0.247
22 O 0.257 0.403 0.982
23 O 0.197 0.757 0.973
24 O 0.793 0.593 0.503
25 O 0.547 0.755 0.734
26 V 0.902 0.083 0.632
27 V 0.397 0.596 0.867
28 V 0.900 0.412 0.609
29 V 0.580 0.414 0.140
30 V 0.101 0.918 0.371
31 V 0.614 0.085 0.134
32 V 0.404 0.908 0.867
33 V 0.096 0.587 0.365
34 Ge 0.390 0.247 0.441
35 Ge 0.897 0.760 0.066
36 Ge 0.125 0.224 0.940
37 Ge 0.606 0.751 0.553

=====

Entry 3:
K2MnH2OF5: optimized geometry, GGA+U.

Calculated values
The value obtained for the calculated formation energy is -2.520 eV/atom. As for the MP2020-corrected energy: -5.492 eV per atom. The space-group type is P2_1/m, No. 11. The value obtained for the total energy is -5.067 eV/atom.

Lattice parameters (Å, degrees): 6.094 8.345 6.290 90.01 98.44 90.01
Fractional coordinates of all 22 atoms:
1 H 0.637 0.155 0.624
2 H 0.362 0.845 0.376
3 H 0.638 0.345 0.624
4 H 0.362 0.655 0.376
5 K 0.506 0.250 0.103
6 K 0.494 0.750 0.897
7 K 0.899 0.750 0.480
8 K 0.100 0.250 0.520
9 F 0.048 0.750 0.968
10 F 0.205 0.005 0.262
11 F 0.764 0.535 0.158
12 F 0.205 0.495 0.263
13 F 0.795 0.995 0.738
14 F 0.796 0.505 0.738
15 F 0.236 0.035 0.842
16 F 0.764 0.965 0.158
17 F 0.952 0.250 0.032
18 F 0.236 0.465 0.842
19 O 0.566 0.250 0.549
20 O 0.433 0.750 0.451
21 Mn 0.000 0.000 0.000
22 Mn 0.000 0.500 0.000

=====

Entry 4:
K2MnP2H2O8F2: optimized geometry, GGA+U.

Calculated values
The value obtained for the calculated formation energy is -2.324 eV/atom. As for the MP2020-corrected energy: -6.583 eV per atom. The space-group type is P-1, No. 2. The value obtained for the total energy is -6.108 eV/atom.

Lattice parameters (Å, degrees): 4.662 8.264 12.545 89.69 88.82 89.38
Fractional coordinates of all 34 atoms:
1 O 0.903 0.773 0.797
2 O 0.241 0.317 0.011
3 O 0.759 0.683 0.989
4 O 0.906 0.724 0.304
5 O 0.245 0.595 0.895
6 O 0.163 0.620 0.469
7 O 0.243 0.903 0.399
8 O 0.097 0.227 0.203
9 O 0.755 0.405 0.105
10 O 0.760 0.815 0.495
11 O 0.837 0.380 0.531
12 O 0.152 0.879 0.961
13 O 0.757 0.097 0.601
14 O 0.848 0.121 0.039
15 O 0.240 0.185 0.505
16 O 0.094 0.276 0.696
17 H 0.060 0.902 0.030
18 H 0.942 0.409 0.466
19 H 0.940 0.098 0.970
20 H 0.058 0.591 0.534
21 Mn 0.500 0.500 0.000
22 Mn 0.500 0.000 0.500
23 K 0.511 0.896 0.199
24 K 0.492 0.396 0.307
25 K 0.508 0.604 0.693
26 K 0.489 0.104 0.801
27 F 0.676 0.396 0.885
28 F 0.679 0.095 0.384
29 F 0.321 0.905 0.616
30 F 0.324 0.604 0.115
31 P 0.003 0.775 0.412
32 P 0.000 0.277 0.094
33 P 0.997 0.225 0.588
34 P 0.000 0.723 0.906

=====

Entry 5:
KMoH8N2F6: optimized geometry, GGA+U.

Calculated values
The value obtained for the calculated formation energy is -1.596 eV/atom. As for the MP2020-corrected energy: -5.332 eV per atom. The space-group type is Fm-3m, No. 225. The value obtained for the total energy is -5.000 eV/atom.

Lattice parameters (Å, degrees): 6.597 6.597 6.597 60.00 60.00 60.00
Fractional coordinates of all 18 atoms:
1 H 0.814 0.814 0.558
2 H 0.814 0.558 0.814
3 H 0.186 0.186 0.186
4 H 0.558 0.814 0.814
5 H 0.442 0.186 0.186
6 H 0.186 0.186 0.442
7 H 0.814 0.814 0.814
8 H 0.186 0.442 0.186
9 F 0.224 0.776 0.224
10 F 0.224 0.776 0.776
11 F 0.776 0.224 0.224
12 F 0.224 0.224 0.776
13 F 0.776 0.224 0.776
14 F 0.776 0.776 0.224
15 N 0.750 0.750 0.750
16 N 0.250 0.250 0.250
17 K 0.500 0.500 0.500
18 Mo 0.000 0.000 0.000

=====

Entry 6:
K3Mo4H6O16F: optimized geometry, GGA+U.

Calculated values
The value obtained for the calculated formation energy is -1.865 eV/atom. The energy relative to the lowest polymorph listed for this composition is 0.000 eV per atom. As for the MP2020-corrected energy: -6.803 eV per atom. The space-group type is P-1, No. 2. The value obtained for the total energy is -5.995 eV/atom.

Lattice parameters (Å, degrees): 8.124 10.604 10.719 103.99 96.60 106.43
Fractional coordinates of all 60 atoms:
1 O 0.208 0.140 0.563
2 O 0.251 0.581 0.089
3 O 0.175 0.089 0.118
4 O 0.710 0.719 0.624
5 O 0.998 0.261 0.050
6 O 0.906 0.588 0.446
7 O 0.658 0.340 0.440
8 O 0.572 0.266 0.663
9 O 0.290 0.281 0.376
10 O 0.825 0.911 0.882
11 O 0.002 0.739 0.950
12 O 0.563 0.930 0.592
13 O 0.342 0.660 0.560
14 O 0.673 0.918 0.165
15 O 0.094 0.412 0.554
16 O 0.396 0.394 0.845
17 O 0.638 0.639 0.849
18 O 0.004 0.194 0.754
19 O 0.457 0.440 0.597
20 O 0.437 0.070 0.408
21 O 0.812 0.536 0.691
22 O 0.792 0.860 0.437
23 O 0.996 0.806 0.246
24 O 0.749 0.419 0.911
25 O 0.327 0.082 0.835
26 O 0.404 0.805 0.904
27 O 0.188 0.464 0.309
28 O 0.428 0.734 0.337
29 O 0.596 0.195 0.096
30 O 0.362 0.361 0.151
31 O 0.543 0.560 0.403
32 O 0.604 0.606 0.155
33 Mo 0.395 0.212 0.503
34 Mo 0.725 0.521 0.511
35 Mo 0.143 0.246 0.177
36 Mo 0.275 0.479 0.489
37 Mo 0.594 0.439 0.793
38 Mo 0.857 0.754 0.823
39 Mo 0.406 0.561 0.207
40 Mo 0.605 0.788 0.497
41 K 0.319 0.897 0.169
42 K 0.084 0.473 0.821
43 K 0.916 0.527 0.179
44 K 0.181 0.858 0.530
45 K 0.681 0.103 0.831
46 K 0.819 0.142 0.470
47 H 0.521 0.250 0.125
48 H 0.630 0.823 0.108
49 H 0.299 0.739 0.915
50 H 0.701 0.261 0.085
51 H 0.089 0.174 0.700
52 H 0.312 0.025 0.894
53 H 0.479 0.750 0.875
54 H 0.370 0.177 0.892
55 H 0.048 0.185 0.839
56 H 0.911 0.826 0.300
57 H 0.952 0.815 0.161
58 H 0.688 0.975 0.106
59 F 0.044 0.803 0.726
60 F 0.956 0.197 0.274

=====

Entry 7:
K2MoHOF5: optimized geometry, GGA+U.

Calculated values
The value obtained for the calculated formation energy is -2.361 eV/atom. As for the MP2020-corrected energy: -5.459 eV per atom. The space-group type is C2, No. 5. The value obtained for the total energy is -4.839 eV/atom.

Lattice parameters (Å, degrees): 6.364 6.364 9.193 85.62 85.62 90.03
Fractional coordinates of all 20 atoms:
1 K 0.956 0.467 0.291
2 K 0.995 0.005 0.000
3 K 0.533 0.044 0.709
4 K 0.482 0.518 0.000
5 F 0.233 0.767 0.224
6 F 0.243 0.325 0.775
7 F 0.028 0.519 0.987
8 F 0.797 0.315 0.809
9 F 0.675 0.757 0.225
10 F 0.793 0.756 0.808
11 F 0.481 0.972 0.013
12 F 0.685 0.203 0.191
13 F 0.233 0.767 0.776
14 F 0.244 0.207 0.192
15 Mo 0.017 0.543 0.761
16 Mo 0.457 0.983 0.239
17 H 0.563 0.437 0.500
18 H 0.995 0.005 0.500
19 O 0.003 0.560 0.573
20 O 0.440 0.997 0.427

=====

Entry 8:
K2MoHO3F4: optimized geometry, GGA+U.

Calculated values
The value obtained for the calculated formation energy is -1.879 eV/atom. As for the MP2020-corrected energy: -5.421 eV per atom. The space-group type is P2_1/c, No. 14. The value obtained for the total energy is -4.918 eV/atom.

Lattice parameters (Å, degrees): 6.409 6.382 18.516 84.56 90.00 90.00
Fractional coordinates of all 44 atoms:
1 F 0.142 0.455 0.339
2 F 0.940 0.937 0.631
3 F 0.174 0.192 0.759
4 F 0.953 0.440 0.843
5 F 0.358 0.455 0.839
6 F 0.047 0.560 0.157
7 F 0.547 0.440 0.343
8 F 0.560 0.937 0.131
9 F 0.440 0.063 0.869
10 F 0.060 0.063 0.369
11 F 0.826 0.808 0.241
12 F 0.453 0.560 0.657
13 F 0.642 0.545 0.161
14 F 0.674 0.808 0.741
15 F 0.858 0.545 0.661
16 F 0.326 0.192 0.259
17 H 0.821 0.288 0.487
18 H 0.179 0.712 0.513
19 H 0.679 0.288 0.987
20 H 0.321 0.712 0.013
21 K 0.342 0.302 0.107
22 K 0.658 0.698 0.893
23 K 0.650 0.252 0.753
24 K 0.150 0.748 0.747
25 K 0.850 0.252 0.253
26 K 0.158 0.302 0.607
27 K 0.350 0.748 0.247
28 K 0.842 0.698 0.393
29 O 0.582 0.087 0.618
30 O 0.186 0.263 0.960
31 O 0.418 0.913 0.382
32 O 0.082 0.913 0.882
33 O 0.098 0.949 0.127
34 O 0.314 0.263 0.460
35 O 0.902 0.051 0.873
36 O 0.402 0.949 0.627
37 O 0.686 0.737 0.540
38 O 0.918 0.087 0.118
39 O 0.814 0.737 0.040
40 O 0.598 0.051 0.373
41 Mo 0.165 0.211 0.871
42 Mo 0.835 0.789 0.129
43 Mo 0.665 0.789 0.629
44 Mo 0.335 0.211 0.371

=====

Entry 9:
K3Mo4H6O16F: optimized geometry, GGA+U.

Calculated values
The value obtained for the calculated formation energy is -0.924 eV/atom. The energy relative to the lowest polymorph listed for this composition is 0.941 eV per atom. As for the MP2020-corrected energy: -5.863 eV per atom. The space-group type is P-1, No. 2. The value obtained for the total energy is -5.054 eV/atom.

Lattice parameters (Å, degrees): 10.719 10.604 8.124 106.43 96.60 103.99
Fractional coordinates of all 60 atoms:
1 O 0.560 0.543 0.403
2 O 0.581 0.251 0.089
3 O 0.266 0.572 0.663
4 O 0.089 0.175 0.118
5 O 0.860 0.792 0.437
6 O 0.261 0.998 0.050
7 O 0.911 0.825 0.882
8 O 0.194 0.004 0.754
9 O 0.719 0.710 0.624
10 O 0.140 0.208 0.563
11 O 0.588 0.906 0.446
12 O 0.070 0.437 0.408
13 O 0.340 0.658 0.440
14 O 0.361 0.362 0.151
15 O 0.419 0.749 0.911
16 O 0.394 0.396 0.845
17 O 0.536 0.812 0.691
18 O 0.734 0.428 0.337
19 O 0.806 0.996 0.246
20 O 0.464 0.188 0.309
21 O 0.639 0.638 0.849
22 O 0.412 0.094 0.554
23 O 0.281 0.290 0.376
24 O 0.739 0.002 0.950
25 O 0.918 0.673 0.165
26 O 0.805 0.404 0.904
27 O 0.440 0.457 0.597
28 O 0.082 0.327 0.835
29 O 0.195 0.596 0.096
30 O 0.606 0.604 0.155
31 O 0.930 0.563 0.592
32 O 0.660 0.342 0.560
33 K 0.897 0.319 0.169
34 K 0.103 0.681 0.831
35 K 0.527 0.916 0.179
36 K 0.858 0.181 0.530
37 K 0.473 0.084 0.821
38 K 0.142 0.819 0.470
39 Mo 0.754 0.857 0.823
40 Mo 0.521 0.725 0.511
41 Mo 0.212 0.395 0.503
42 Mo 0.246 0.143 0.177
43 Mo 0.788 0.605 0.497
44 Mo 0.479 0.275 0.489
45 Mo 0.439 0.594 0.793
46 Mo 0.561 0.406 0.207
47 H 0.177 0.370 0.892
48 H 0.174 0.089 0.700
49 H 0.261 0.701 0.085
50 H 0.823 0.630 0.108
51 H 0.815 0.952 0.161
52 H 0.185 0.048 0.839
53 H 0.975 0.688 0.106
54 H 0.750 0.479 0.875
55 H 0.739 0.299 0.915
56 H 0.826 0.911 0.300
57 H 0.250 0.521 0.125
58 H 0.025 0.312 0.894
59 F 0.803 0.044 0.726
60 F 0.197 0.956 0.274

=====

Entry 10:
KH8WN2O3F3: optimized geometry, GGA+U.

Calculated values
The value obtained for the calculated formation energy is -1.431 eV/atom. The energy relative to the lowest polymorph listed for this composition is 0.000 eV per atom. As for the MP2020-corrected energy: -5.791 eV per atom. The space-group type is Pc, No. 7. The value obtained for the total energy is -5.353 eV/atom.

Lattice parameters (Å, degrees): 6.349 6.447 11.328 56.21 90.00 90.00
Fractional coordinates of all 36 atoms:
1 O 0.007 0.811 0.525
2 O 0.993 0.811 0.025
3 O 0.313 0.830 0.193
4 O 0.805 0.236 0.309
5 O 0.195 0.236 0.809
6 O 0.687 0.830 0.693
7 H 0.181 0.788 0.652
8 H 0.669 0.222 0.842
9 H 0.746 0.533 0.304
10 H 0.819 0.788 0.152
11 H 0.783 0.805 0.296
12 H 0.277 0.133 0.228
13 H 0.436 0.775 0.719
14 H 0.217 0.805 0.796
15 H 0.926 0.243 0.779
16 H 0.074 0.243 0.279
17 H 0.331 0.222 0.342
18 H 0.254 0.533 0.804
19 H 0.564 0.775 0.219
20 H 0.268 0.438 0.172
21 H 0.723 0.133 0.728
22 H 0.732 0.438 0.672
23 N 0.239 0.257 0.256
24 N 0.729 0.727 0.243
25 N 0.271 0.727 0.743
26 N 0.761 0.257 0.756
27 K 0.258 0.502 0.500
28 K 0.742 0.502 0.000
29 F 0.490 0.199 0.470
30 F 0.589 0.777 0.473
31 F 0.411 0.777 0.973
32 F 0.930 0.231 0.535
33 F 0.070 0.231 0.035
34 F 0.510 0.199 0.970
35 W 0.778 0.993 0.504
36 W 0.222 0.993 0.004